The following is a DFT calculation (PBE-GGA) of an optimized crystal structure of Pr6OsBr10.

Unit cell a=7.7352 b=9.4748 c=9.7818 alpha=108.33 beta=97.22 gamma=105.42
Last column: nearest neighbours and their distance in Å.
Positions (direct):
Pr 0.0323 0.2122 0.4138  1 Os 2.68, 1 Br 2.98
Pr 0.1283 0.5500 0.2486  1 Os 2.89, 4 Br 2.99-3.16
Pr 0.3720 0.6440 0.6862  5 Br 2.87-3.19, 1 Os 2.91
Pr 0.6280 0.3560 0.3138  5 Br 2.87-3.19, 1 Os 2.91
Pr 0.8717 0.4500 0.7514  1 Os 2.89, 4 Br 2.99-3.16
Pr 0.9677 0.7878 0.5862  1 Os 2.68, 1 Br 2.98
Os 0.0000 0.5000 0.5000  6 Pr 2.68-2.91
Br 0.0852 0.8678 0.3270  3 Pr 2.99-3.25
Br 0.2027 0.2431 0.1546  3 Pr 3.00-3.19
Br 0.2535 0.5858 0.9519  3 Pr 3.02-3.26
Br 0.3492 0.9561 0.7717  2 Pr 2.87-2.98
Br 0.4540 0.3246 0.5821  4 Pr 3.14-3.19
Br 0.5460 0.6754 0.4179  4 Pr 3.14-3.19
Br 0.6508 0.0439 0.2283  2 Pr 2.87-2.98
Br 0.7465 0.4142 0.0481  3 Pr 3.02-3.26
Br 0.7973 0.7569 0.8454  3 Pr 3.00-3.19
Br 0.9148 0.1322 0.6730  3 Pr 2.99-3.25

Output
Space group: P-1
Crystal system: triclinic
Total DFT energy (no corrections) in eV/f.u.: -83.38